The following is a DFT calculation (PBE) of crystalline La5Tl3 at its relaxed geometry.

## Properties
For the calculated volume, the calculation gives 33.13 Å³ per atom. As for the space group: I4/mcm (140). Its energy of formation from the pure elements is -350 meV/atom.

Geometry as POSCAR:
```
La5Tl3
1.0
-6.439 6.439 3.196
6.439 -6.439 3.196
6.439 6.439 -3.196
La Tl
10 6
direct
0.083 0.779 0.861 La
0.221 0.083 0.304 La
0.250 0.750 0.500 La
0.279 0.583 0.861 La
0.417 0.279 0.696 La
0.583 0.721 0.304 La
0.721 0.417 0.139 La
0.750 0.250 0.500 La
0.779 0.917 0.696 La
0.917 0.221 0.139 La
0.163 0.337 0.500 Tl
0.250 0.250 0.000 Tl
0.337 0.837 0.173 Tl
0.663 0.163 0.827 Tl
0.750 0.750 0.000 Tl
0.837 0.663 0.500 Tl
```

***

The following is a DFT calculation (PBE) of crystalline La3Tl at its relaxed geometry.

## Properties
For the calculated volume, the calculation gives 32.78 Å³ per atom. As for the space group: Pm-3m (221). The excess energy over the best structure of this formula in the dataset comes out at 0.000 eV/atom. Its energy of formation from the pure elements is -240 meV/atom.

Geometry as POSCAR:
```
La3Tl
1.0
5.080 0.000 0.000
0.000 5.080 0.000
0.000 0.000 5.080
La Tl
3 1
direct
0.000 0.000 0.500 La
0.000 0.500 0.000 La
0.500 0.000 0.000 La
0.500 0.500 0.500 Tl
```

***

The following is a DFT calculation (PBE) of crystalline La3Tl5 at its relaxed geometry.

## Properties
For the calculated volume, the calculation gives 30.82 Å³ per atom. As for the space group: Cmcm (63). Its energy of formation from the pure elements is -416 meV/atom.

Geometry as POSCAR:
```
La3Tl5
1.0
5.412 -4.312 0.000
5.412 4.312 0.000
0.000 0.000 10.564
La Tl
6 10
direct
0.136 0.864 0.750 La
0.298 0.298 0.000 La
0.298 0.298 0.500 La
0.702 0.702 0.000 La
0.702 0.702 0.500 La
0.864 0.136 0.250 La
0.006 0.438 0.750 Tl
0.195 0.805 0.055 Tl
0.195 0.805 0.445 Tl
0.438 0.006 0.250 Tl
0.495 0.505 0.250 Tl
0.505 0.495 0.750 Tl
0.562 0.994 0.750 Tl
0.805 0.195 0.555 Tl
0.805 0.195 0.945 Tl
0.994 0.562 0.250 Tl
```

***

The following is a DFT calculation (PBE) of crystalline LaTl at its relaxed geometry.

## Properties
For the calculated volume, the calculation gives 31.86 Å³ per atom. As for the space group: Pm-3m (221). Its energy of formation from the pure elements is -422 meV/atom.

Geometry as POSCAR:
```
LaTl
1.0
3.994 0.000 0.000
0.000 3.994 0.000
0.000 0.000 3.994
La Tl
1 1
direct
0.000 0.000 0.000 La
0.500 0.500 0.500 Tl
```

***

- Among the records above, which one has the lowest calculated volume?
  La3Tl5